(1)
The following is a PBE calculation of crystalline SmH4I3O11 at its relaxed geometry, from the Materials Project.

Lattice parameters (Å, degrees): 7.252 7.573 10.782 94.82 105.03 109.13
Space group P-1 (No. 2)
Symmetry-distinct sites (fractional):
Sm: 0.109 0.416 0.287 [2 per cell]
H: 0.129 0.259 0.895 [2 per cell]
H: 0.196 0.082 0.891 [2 per cell]
H: 0.252 0.106 0.359 [2 per cell]
H: 0.283 0.089 0.217 [2 per cell]
I: 0.275 0.734 0.048 [2 per cell]
I: 0.284 0.365 0.667 [2 per cell]
I: 0.303 0.852 0.568 [2 per cell]
O: 0.081 0.628 0.129 [2 per cell]
O: 0.097 0.849 0.636 [2 per cell]
O: 0.107 0.800 0.917 [2 per cell]
O: 0.143 0.723 0.402 [2 per cell]
O: 0.229 0.153 0.276 [2 per cell]
O: 0.231 0.558 0.750 [2 per cell]
O: 0.245 0.220 0.891 [2 per cell]
O: 0.291 0.464 0.518 [2 per cell]
O: 0.364 0.094 0.529 [2 per cell]
O: 0.418 0.966 0.152 [2 per cell]
O: 0.439 0.556 0.248 [2 per cell]

(2)
The following is a PBE calculation of crystalline SrH2I2O at its relaxed geometry, from the Materials Project.

Lattice parameters (Å, degrees): 12.690 4.556 9.818 90.00 90.00 90.00
Space group Pnma (No. 62)
Symmetry-distinct sites (fractional):
Sr: 0.198 0.250 0.122 [4 per cell]
H: 0.125 0.250 0.685 [4 per cell]
H: 0.151 0.250 0.530 [4 per cell]
I: 0.103 0.750 0.890 [4 per cell]
I: 0.108 0.750 0.357 [4 per cell]
O: 0.184 0.250 0.620 [4 per cell]

(3)
The following is a PBE calculation of crystalline SrH2I2O7 at its relaxed geometry, from the Materials Project.

Lattice parameters (Å, degrees): 13.141 7.889 8.991 90.00 131.00 90.00
Space group C2/c (No. 15)
Symmetry-distinct sites (fractional):
Sr: 0.000 0.160 0.250 [4 per cell]
H: 0.027 0.234 0.692 [8 per cell]
I: 0.186 0.472 0.173 [8 per cell]
O: 0.000 0.161 0.750 [4 per cell]
O: 0.078 0.336 0.570 [8 per cell]
O: 0.149 0.071 0.172 [8 per cell]
O: 0.179 0.415 0.363 [8 per cell]

(4)
The following is a PBE calculation of crystalline SrHI2O6 at its relaxed geometry, from the Materials Project.

Lattice parameters (Å, degrees): 12.958 8.036 8.715 90.00 131.79 90.00
Space group C2/c (No. 15)
Symmetry-distinct sites (fractional):
Sr: 0.000 0.174 0.250 [4 per cell]
H: 0.000 0.173 0.750 [4 per cell]
I: 0.188 0.472 0.708 [8 per cell]
O: 0.082 0.339 0.092 [8 per cell]
O: 0.139 0.064 0.617 [8 per cell]
O: 0.187 0.413 0.502 [8 per cell]

(5)
The following is a PBE calculation of crystalline SrHIO at its relaxed geometry, from the Materials Project.

Lattice parameters (Å, degrees): 7.800 4.293 10.890 90.00 90.00 90.00
Space group Pnma (No. 62)
Symmetry-distinct sites (fractional):
Sr: 0.178 0.250 0.078 [4 per cell]
H: 0.218 0.750 0.902 [4 per cell]
I: 0.023 0.750 0.320 [4 per cell]
O: 0.133 0.750 0.968 [4 per cell]

(6)
The following is a PBE calculation of crystalline ZnH4I2O8 at its relaxed geometry, from the Materials Project.

Lattice parameters (Å, degrees): 4.990 6.756 10.990 99.10 91.50 91.30
Space group P-1 (No. 2)
Symmetry-distinct sites (fractional):
Zn: 0.000 0.000 0.000 [1 per cell]
Zn: 0.000 0.000 0.500 [1 per cell]
H: 0.213 0.362 0.007 [2 per cell]
H: 0.291 0.348 0.552 [2 per cell]
H: 0.441 0.223 0.044 [2 per cell]
H: 0.448 0.205 0.448 [2 per cell]
I: 0.110 0.711 0.729 [2 per cell]
I: 0.357 0.771 0.229 [2 per cell]
O: 0.152 0.565 0.144 [2 per cell]
O: 0.202 0.792 0.379 [2 per cell]
O: 0.203 0.986 0.168 [2 per cell]
O: 0.246 0.795 0.887 [2 per cell]
O: 0.259 0.903 0.645 [2 per cell]
O: 0.267 0.239 0.479 [2 per cell]
O: 0.292 0.229 0.982 [2 per cell]
O: 0.348 0.515 0.680 [2 per cell]

(7)
The following is a PBE calculation of crystalline PH4I at its relaxed geometry, from the Materials Project.

Lattice parameters (Å, degrees): 6.420 6.420 4.667 90.00 90.00 90.00
Space group P4/nmm (No. 129, origin choice 2)
Symmetry-distinct sites (fractional):
P: 0.250 0.750 0.000 [2 per cell]
H: 0.071 0.750 0.177 [8 per cell]
I: 0.250 0.250 0.396 [2 per cell]

(8)
The following is a PBE calculation of crystalline HPbI3 at its relaxed geometry, from the Materials Project.

Lattice parameters (Å, degrees): 6.244 6.244 6.244 90.00 90.00 90.00
Space group Pm-3m (No. 221)
Symmetry-distinct sites (fractional):
H: 0.000 0.000 0.000 [1 per cell]
Pb: 0.500 0.500 0.500 [1 per cell]
I: 0.000 0.500 0.500 [3 per cell]

| no. | volume (Å³ per cell) | formation energy (kcal/mol of atoms) |
| --- | --- | --- |
| 1 | 531.0 | -32.6 |
| 2 | 567.6 | -34.5 |
| 3 | 703.4 | -33.7 |
| 4 | 676.7 | -26.4 |
| 5 | 364.7 | -46.7 |
| 6 | 365.6 | -26.2 |
| 7 | 192.4 | -3.4 |
| 8 | 243.5 | 0.9 |